[1]
Below is an optimized crystal structure of ThAlCu2, with properties calculated at the GGA-PBE level.

a b c (Å): 4.7030 4.7030 4.7030
angles (deg): 60.00 60.00 60.00
Element x y z (fractional)
Th1 0.0000 0.0000 0.0000
Al1 0.5000 0.5000 0.5000
Cu1 0.2500 0.2500 0.2500
Cu2 0.7500 0.7500 0.7500

SG: No. 225



[2]
Below is an optimized crystal structure of ThAl8Cu4, with properties calculated at the GGA-PBE level.

a b c (Å): 6.8326 6.8326 6.8326
angles (deg): 98.07 98.07 136.00
Element x y z (fractional)
Th1 0.0000 0.0000 0.0000
Al1 0.0000 0.3489 0.3489
Al2 0.0000 0.6511 0.6511
Al3 0.2792 0.5000 0.7792
Al4 0.3489 0.0000 0.3489
Al5 0.5000 0.2792 0.7792
Al6 0.5000 0.7208 0.2208
Al7 0.6511 0.0000 0.6511
Al8 0.7208 0.5000 0.2208
Cu1 0.0000 0.0000 0.5000
Cu2 0.0000 0.5000 0.0000
Cu3 0.5000 0.0000 0.0000
Cu4 0.5000 0.5000 0.5000

SG: No. 139



[3]
Below is an optimized crystal structure of TiAlCu, with properties calculated at the GGA-PBE level.

a b c (Å): 8.0914 4.9952 4.9952
angles (deg): 61.24 90.00 90.00
Element x y z (fractional)
Ti1 0.1810 0.0000 0.0000
Ti2 0.3075 0.3293 0.3293
Ti3 0.6925 0.3293 0.3293
Ti4 0.8190 0.0000 0.0000
Al1 0.2387 0.6694 0.6694
Al2 0.5000 0.3153 0.8287
Al3 0.5000 0.8287 0.3153
Al4 0.7613 0.6694 0.6694
Cu1 0.0000 0.0116 0.4884
Cu2 0.0000 0.4884 0.0116
Cu3 0.0000 0.4923 0.4923
Cu4 0.5000 0.8278 0.8278

SG: No. 38
total moment: 1.08 μB per formula unit



[4]
Below is an optimized crystal structure of TiAlCu2, with properties calculated at the GGA-PBE level.

a b c (Å): 2.8687 2.8687 6.7084
angles (deg): 90.00 90.00 90.00
Element x y z (fractional)
Ti1 0.0000 0.0000 0.0000
Al1 0.0000 0.0000 0.5000
Cu1 0.5000 0.5000 0.2667
Cu2 0.5000 0.5000 0.7333

SG: No. 123
total moment: 0.75 μB per formula unit



[5]
Below is an optimized crystal structure of TmAlCu, with properties calculated at the GGA-PBE level.

a b c (Å): 6.9952 6.9952 3.9222
angles (deg): 90.00 90.00 120.00
Element x y z (fractional)
Tm1 0.0000 0.5857 0.0000
Tm2 0.4143 0.4143 0.0000
Tm3 0.5857 0.0000 0.0000
Al1 0.0000 0.2380 0.5000
Al2 0.2380 0.0000 0.5000
Al3 0.7620 0.7620 0.5000
Cu1 0.0000 0.0000 0.0000
Cu2 0.3333 0.6667 0.5000
Cu3 0.6667 0.3333 0.5000

SG: No. 189



[6]
Below is an optimized crystal structure of TmAl6Cu6, with properties calculated at the GGA-PBE level.

a b c (Å): 6.5805 6.5805 6.5805
angles (deg): 134.72 99.19 97.85
Element x y z (fractional)
Tm1 0.0000 0.0000 0.0000
Al1 0.2032 0.7032 0.5000
Al2 0.3454 0.0000 0.3454
Al3 0.3485 0.3485 0.0000
Al4 0.6515 0.6515 0.0000
Al5 0.6546 0.0000 0.6546
Al6 0.7968 0.2968 0.5000
Cu1 0.0000 0.0000 0.5000
Cu2 0.0000 0.5000 0.0000
Cu3 0.2264 0.5000 0.7264
Cu4 0.5000 0.0000 0.0000
Cu5 0.5000 0.5000 0.5000
Cu6 0.7736 0.5000 0.2736

SG: No. 71



[7]
Below is an optimized crystal structure of Tm6Al7Cu16, with properties calculated at the GGA-PBE level.

a b c (Å): 8.6251 8.6251 8.6251
angles (deg): 60.00 60.00 60.00
Element x y z (fractional)
Tm1 0.2087 0.2087 0.7913
Tm2 0.2087 0.7913 0.2087
Tm3 0.2087 0.7913 0.7913
Tm4 0.7913 0.2087 0.2087
Tm5 0.7913 0.2087 0.7913
Tm6 0.7913 0.7913 0.2087
Al1 0.0000 0.0000 0.5000
Al2 0.0000 0.5000 0.0000
Al3 0.0000 0.5000 0.5000
Al4 0.5000 0.0000 0.0000
Al5 0.5000 0.0000 0.5000
Al6 0.5000 0.5000 0.0000
Al7 0.5000 0.5000 0.5000
Cu1 0.1377 0.6208 0.6208
Cu2 0.1726 0.1726 0.1726
Cu3 0.1726 0.1726 0.4822
Cu4 0.1726 0.4822 0.1726
Cu5 0.3792 0.3792 0.3792
Cu6 0.3792 0.3792 0.8623
Cu7 0.3792 0.8623 0.3792
Cu8 0.4822 0.1726 0.1726
Cu9 0.5178 0.8274 0.8274
Cu10 0.6208 0.1377 0.6208
Cu11 0.6208 0.6208 0.1377
Cu12 0.6208 0.6208 0.6208
Cu13 0.8274 0.5178 0.8274
Cu14 0.8274 0.8274 0.5178
Cu15 0.8274 0.8274 0.8274
Cu16 0.8623 0.3792 0.3792

SG: No. 225



[8]
Below is an optimized crystal structure of TmAlCu, with properties calculated at the GGA-PBE level.

a b c (Å): 5.3332 5.3332 5.3332
angles (deg): 119.52 119.41 90.93
Element x y z (fractional)
Tm1 0.3749 0.1249 0.2500
Tm2 0.6251 0.8751 0.7500
Al1 0.0000 0.5000 0.5000
Al2 0.5000 0.5000 0.0000
Cu1 0.0000 0.0000 0.5000
Cu2 0.0000 0.5000 0.0000

SG: No. 74
total moment: 0.00 μB per formula unit



[9]
Below is an optimized crystal structure of TmAlCu4, with properties calculated at the GGA-PBE level.

a b c (Å): 5.1131 5.1131 4.0333
angles (deg): 90.00 90.00 120.00
Element x y z (fractional)
Tm1 0.0000 0.0000 0.0000
Al1 0.3333 0.6667 0.0000
Cu1 0.5007 0.0014 0.5000
Cu2 0.5007 0.4993 0.5000
Cu3 0.6667 0.3333 0.0000
Cu4 0.9986 0.4993 0.5000

SG: No. 187
total moment: 0.00 μB per formula unit



[10]
Below is an optimized crystal structure of TmAl8Cu4, with properties calculated at the GGA-PBE level.

a b c (Å): 6.7203 6.7203 6.7203
angles (deg): 98.34 98.34 135.22
Element x y z (fractional)
Tm1 0.0000 0.0000 0.0000
Al1 0.0000 0.3476 0.3476
Al2 0.0000 0.6524 0.6524
Al3 0.2820 0.5000 0.7820
Al4 0.3476 0.0000 0.3476
Al5 0.5000 0.2820 0.7820
Al6 0.5000 0.7180 0.2180
Al7 0.6524 0.0000 0.6524
Al8 0.7180 0.5000 0.2180
Cu1 0.0000 0.0000 0.5000
Cu2 0.0000 0.5000 0.0000
Cu3 0.5000 0.0000 0.0000
Cu4 0.5000 0.5000 0.5000

SG: No. 139



[11]
Below is an optimized crystal structure of UAl2Cu3, with properties calculated at the GGA-PBE level.

a b c (Å): 5.2480 5.2480 3.9797
angles (deg): 90.00 90.00 120.00
Element x y z (fractional)
U1 0.0000 0.0000 0.0000
Al1 0.3333 0.6667 0.0000
Al2 0.6667 0.3333 0.0000
Cu1 0.0000 0.5000 0.5000
Cu2 0.5000 0.0000 0.5000
Cu3 0.5000 0.5000 0.5000

SG: No. 191
total moment: 3.03 μB per formula unit



[12]
Below is an optimized crystal structure of U2Al3Cu7, with properties calculated at the GGA-PBE level.

a b c (Å): 5.0749 4.1556 8.8027
angles (deg): 90.00 91.32 90.00
Element x y z (fractional)
U1 0.2464 0.0000 0.2507
U2 0.7536 0.0000 0.7493
Al1 0.0000 0.5000 0.0000
Al2 0.2608 0.5000 0.7433
Al3 0.7392 0.5000 0.2567
Cu1 0.0000 0.5000 0.5000
Cu2 0.2491 0.0000 0.5799
Cu3 0.2559 0.0000 0.9159
Cu4 0.5000 0.5000 0.0000
Cu5 0.5000 0.5000 0.5000
Cu6 0.7441 0.0000 0.0841
Cu7 0.7509 0.0000 0.4201

SG: No. 10
total moment: 4.89 μB per formula unit



Number 1: E_form -0.264 eV/atom, calculated total energy -5.104 eV/atom. Number 2: E_form -0.282 eV/atom, calculated total energy -4.419 eV/atom. Number 3: E_form -0.295 eV/atom, calculated total energy -5.542 eV/atom. Number 4: E_form -0.196 eV/atom, calculated total energy -5.156 eV/atom. Number 5: E_form -0.469 eV/atom, calculated total energy -4.575 eV/atom. Number 6: E_form -0.352 eV/atom, calculated total energy -4.317 eV/atom. Number 7: E_form -0.380 eV/atom, calculated total energy -4.472 eV/atom. Number 8: E_form -0.396 eV/atom, calculated total energy -4.503 eV/atom. Number 9: E_form -0.249 eV/atom, calculated total energy -4.352 eV/atom. Number 10: E_form -0.295 eV/atom, calculated total energy -4.206 eV/atom. Number 11: E_form -0.030 eV/atom, calculated total energy -5.210 eV/atom. Number 12: E_form -0.079 eV/atom, calculated total energy -5.289 eV/atom.